Here is crystalline K2Na2La2MgNb2O10 at its relaxed geometry from the Materials Project. Energies are from PBE.

Unit cell a=5.989 b=5.846 c=8.827 alpha=90.00 beta=97.00 gamma=90.00
Space group Pm (No. 6)
One atom of each set of equivalent atoms:
1 K 0.000 0.000 0.000 x1
2 K 0.386 0.500 0.074 x1
3 Na 0.295 0.000 0.369 x1
4 Na 0.908 0.500 0.849 x1
5 La 0.371 0.500 0.603 x1
6 La 0.912 0.000 0.605 x1
7 Mg 0.665 0.000 0.237 x1
8 Nb 0.443 0.000 0.818 x1
9 Nb 0.862 0.500 0.338 x1
10 O 0.079 0.279 0.450 x2
11 O 0.192 0.240 0.783 x2
12 O 0.453 0.000 0.046 x1
13 O 0.623 0.265 0.376 x2
14 O 0.649 0.230 0.748 x2
15 O 0.897 0.500 0.130 x1

Calculated values
crystal system = monoclinic
energy relative to the elements = -2.72 eV/atom
raw total energy = -6.89 eV/atom
M_tot = 0.09 μB/atom

***

Here is crystalline KLaMg14O16 at its relaxed geometry from the Materials Project. Energies are from PBE.

Unit cell a=4.486 b=8.749 c=8.983 alpha=90.00 beta=90.00 gamma=90.00
Space group Pmmm (No. 47)
One atom of each set of equivalent atoms:
1 K 0.000 0.000 0.000 x1
2 La 0.000 0.000 0.500 x1
3 Mg 0.000 0.261 0.239 x4
4 Mg 0.000 0.500 0.000 x1
5 Mg 0.000 0.500 0.500 x1
6 Mg 0.500 0.000 0.230 x2
7 Mg 0.500 0.255 0.000 x2
8 Mg 0.500 0.267 0.500 x2
9 Mg 0.500 0.500 0.246 x2
10 O 0.000 0.000 0.253 x2
11 O 0.000 0.272 0.500 x2
12 O 0.000 0.277 0.000 x2
13 O 0.000 0.500 0.252 x2
14 O 0.500 0.000 0.000 x1
15 O 0.500 0.000 0.500 x1
16 O 0.500 0.251 0.250 x4
17 O 0.500 0.500 0.000 x1
18 O 0.500 0.500 0.500 x1

Calculated values
crystal system = orthorhombic
energy relative to the elements = -2.83 eV/atom
raw total energy = -5.85 eV/atom
M_tot = 0.00 μB/atom

***

Here is crystalline KLaMg14O16 at its relaxed geometry from the Materials Project. Energies are from PBE.

Unit cell a=8.797 b=8.797 c=4.510 alpha=90.00 beta=90.00 gamma=90.00
Space group P4/mmm (No. 123)
One atom of each set of equivalent atoms:
1 K 0.000 0.000 0.000 x1
2 La 0.500 0.500 0.000 x1
3 Mg 0.000 0.248 0.500 x4
4 Mg 0.000 0.500 0.000 x2
5 Mg 0.231 0.500 0.500 x4
6 Mg 0.240 0.240 0.000 x4
7 O 0.000 0.000 0.500 x1
8 O 0.000 0.273 0.000 x4
9 O 0.000 0.500 0.500 x2
10 O 0.235 0.500 0.000 x4
11 O 0.252 0.252 0.500 x4
12 O 0.500 0.500 0.500 x1

Calculated values
crystal system = tetragonal
energy relative to the elements = -2.85 eV/atom
raw total energy = -5.87 eV/atom
M_tot = 0.00 μB/atom

***

Here is crystalline K2La2MgTi3O10 at its relaxed geometry from the Materials Project. Energies are from PBE.

Unit cell a=3.962 b=3.962 c=32.863 alpha=90.00 beta=90.00 gamma=90.00
Space group I4/mmm (No. 139)
One atom of each set of equivalent atoms:
1 K 0.000 0.000 0.212 x4
2 La 0.000 0.000 0.093 x4
3 Mg 0.000 0.000 0.000 x2
4 Ti 0.000 0.000 0.350 x4
5 Ti 0.000 0.000 0.500 x2
6 O 0.000 0.000 0.297 x4
7 O 0.000 0.000 0.436 x4
8 O 0.000 0.500 0.000 x4
9 O 0.000 0.500 0.136 x8

Calculated values
crystal system = tetragonal
energy relative to the elements = -3.05 eV/atom
raw total energy = -7.50 eV/atom
M_tot = 0.00 μB/atom

***

Here is crystalline K2La2MgTi2O8 at its relaxed geometry from the Materials Project. Energies are from PBE.

Unit cell a=3.844 b=3.844 c=15.855 alpha=90.00 beta=90.00 gamma=90.00
Space group P-4m2 (No. 115)
One atom of each set of equivalent atoms:
1 K 0.000 0.500 0.079 x2
2 La 0.000 0.500 0.347 x2
3 Mg 0.000 0.000 0.500 x1
4 Ti 0.000 0.500 0.785 x2
5 O 0.000 0.000 0.258 x2
6 O 0.000 0.500 0.567 x2
7 O 0.000 0.500 0.898 x2
8 O 0.500 0.500 0.258 x2

Calculated values
crystal system = tetragonal
energy relative to the elements = -2.89 eV/atom
raw total energy = -7.13 eV/atom
M_tot = 0.05 μB/atom

***

Here is crystalline K2La2MgTi2O8 at its relaxed geometry from the Materials Project. Energies are from PBE.

Unit cell a=3.951 b=3.951 c=13.138 alpha=90.00 beta=90.00 gamma=90.00
Space group P-4m2 (No. 115)
One atom of each set of equivalent atoms:
1 K 0.000 0.500 0.135 x2
2 La 0.000 0.500 0.395 x2
3 Mg 0.500 0.500 0.000 x1
4 Ti 0.000 0.500 0.742 x2
5 O 0.000 0.000 0.272 x2
6 O 0.000 0.500 0.573 x2
7 O 0.000 0.500 0.918 x2
8 O 0.500 0.500 0.269 x2

Calculated values
crystal system = tetragonal
energy relative to the elements = -2.90 eV/atom
raw total energy = -7.14 eV/atom
M_tot = 0.11 μB/atom

***

Here is crystalline K2La2MgTi3O10 at its relaxed geometry from the Materials Project. Energies are from PBE.

Unit cell a=3.964 b=3.964 c=29.080 alpha=90.00 beta=90.00 gamma=90.00
Space group I-4m2 (No. 119)
One atom of each set of equivalent atoms:
1 K 0.000 0.000 0.189 x4
2 La 0.000 0.000 0.070 x4
3 Mg 0.000 0.500 0.750 x2
4 Ti 0.000 0.000 0.364 x4
5 Ti 0.000 0.000 0.500 x2
6 O 0.000 0.000 0.287 x4
7 O 0.000 0.000 0.432 x4
8 O 0.000 0.500 0.000 x4
9 O 0.000 0.500 0.129 x4
10 O 0.000 0.500 0.632 x4

Calculated values
crystal system = tetragonal
energy relative to the elements = -3.06 eV/atom
raw total energy = -7.50 eV/atom
M_tot = 0.00 μB/atom

***

Here is crystalline KLa2NbO6 at its relaxed geometry from the Materials Project. Energies are from PBE.

Unit cell a=12.841 b=5.829 c=8.971 alpha=90.00 beta=105.96 gamma=90.00
Space group C2/m (No. 12)
One atom of each set of equivalent atoms:
1 K 0.115 0.000 0.481 x4
2 La 0.088 0.500 0.205 x4
3 La 0.130 0.000 0.928 x4
4 Nb 0.159 0.500 0.703 x4
5 O 0.000 0.252 0.000 x4
6 O 0.048 0.269 0.708 x8
7 O 0.177 0.500 0.504 x4
8 O 0.236 0.232 0.168 x8

Calculated values
crystal system = monoclinic
energy relative to the elements = -3.43 eV/atom
raw total energy = -8.09 eV/atom
M_tot = 0.00 μB/atom